i:
Sm3SiS6Cl (PBE-GGA, relaxed); total magnetic moment = 0.0 μB per formula unit
1.0
12.484 0.000 0.000
0.000 10.376 0.000
0.000 0.000 16.235
Sm Si S Cl
24 8 48 8
Direct
0.116 0.250 0.124 Sm
0.118 0.536 0.612 Sm
0.118 0.964 0.612 Sm
0.123 0.750 0.138 Sm
0.188 0.044 0.905 Sm
0.188 0.456 0.905 Sm
0.312 0.544 0.405 Sm
0.312 0.956 0.405 Sm
0.377 0.250 0.638 Sm
0.382 0.036 0.112 Sm
0.382 0.464 0.112 Sm
0.384 0.750 0.624 Sm
0.616 0.250 0.376 Sm
0.618 0.536 0.888 Sm
0.618 0.964 0.888 Sm
0.623 0.750 0.362 Sm
0.688 0.044 0.595 Sm
0.688 0.456 0.595 Sm
0.812 0.544 0.095 Sm
0.812 0.956 0.095 Sm
0.877 0.250 0.862 Sm
0.882 0.036 0.388 Sm
0.882 0.464 0.388 Sm
0.884 0.750 0.876 Sm
0.116 0.250 0.741 Si
0.164 0.750 0.777 Si
0.336 0.250 0.277 Si
0.384 0.750 0.241 Si
0.616 0.250 0.759 Si
0.664 0.750 0.723 Si
0.836 0.250 0.223 Si
0.884 0.750 0.259 Si
0.021 0.750 0.707 S
0.028 0.081 0.771 S
0.028 0.419 0.771 S
0.063 0.250 0.953 S
0.118 0.750 0.903 S
0.144 0.250 0.612 S
0.158 0.510 0.068 S
0.158 0.990 0.068 S
0.186 0.750 0.529 S
0.229 0.750 0.301 S
0.239 0.090 0.246 S
0.239 0.410 0.246 S
0.261 0.590 0.746 S
0.261 0.910 0.746 S
0.271 0.250 0.801 S
0.314 0.250 0.029 S
0.342 0.010 0.568 S
0.342 0.490 0.568 S
0.356 0.750 0.112 S
0.382 0.250 0.403 S
0.437 0.750 0.453 S
0.472 0.581 0.271 S
0.472 0.919 0.271 S
0.479 0.250 0.207 S
0.521 0.750 0.793 S
0.528 0.081 0.729 S
0.528 0.419 0.729 S
0.563 0.250 0.547 S
0.618 0.750 0.597 S
0.644 0.250 0.888 S
0.658 0.510 0.432 S
0.658 0.990 0.432 S
0.686 0.750 0.971 S
0.729 0.750 0.199 S
0.739 0.090 0.254 S
0.739 0.410 0.254 S
0.761 0.590 0.754 S
0.761 0.910 0.754 S
0.771 0.250 0.699 S
0.814 0.250 0.471 S
0.842 0.010 0.932 S
0.842 0.490 0.932 S
0.856 0.750 0.388 S
0.882 0.250 0.097 S
0.937 0.750 0.047 S
0.972 0.581 0.229 S
0.972 0.919 0.229 S
0.979 0.250 0.293 S
0.104 0.043 0.440 Cl
0.104 0.457 0.440 Cl
0.396 0.543 0.940 Cl
0.396 0.957 0.940 Cl
0.604 0.043 0.060 Cl
0.604 0.457 0.060 Cl
0.896 0.543 0.560 Cl
0.896 0.957 0.560 Cl


ii:
Sm3SiS6Cl (PBE-GGA, relaxed); total magnetic moment = 0.0 μB per formula unit
1.0
9.940 0.000 0.000
0.000 5.736 0.000
-4.791 0.000 8.772
Sm Si S Cl
6 2 12 2
Direct
0.136 0.000 0.359 Sm
0.226 0.996 0.873 Sm
0.354 0.499 0.235 Sm
0.646 0.999 0.765 Sm
0.774 0.496 0.127 Sm
0.864 0.500 0.641 Sm
0.335 0.583 0.667 Si
0.665 0.083 0.333 Si
0.090 0.471 0.255 S
0.111 0.729 0.591 S
0.256 0.971 0.161 S
0.332 0.215 0.667 S
0.417 0.734 0.522 S
0.474 0.730 0.891 S
0.526 0.230 0.109 S
0.583 0.234 0.478 S
0.668 0.715 0.333 S
0.744 0.471 0.839 S
0.889 0.229 0.409 S
0.910 0.971 0.745 S
0.162 0.470 0.909 Cl
0.838 0.970 0.091 Cl


In meV per atom, relative to the most stable structure: i 0; ii 28.


i:
SeCl4 (PBE-GGA, relaxed); total magnetic moment = 0.0 μB per formula unit
1.0
16.942 0.000 0.000
0.000 16.942 0.000
0.000 0.000 16.942
Se Cl
32 128
Direct
0.088 0.088 0.088 Se
0.088 0.912 0.912 Se
0.091 0.331 0.401 Se
0.091 0.669 0.599 Se
0.099 0.169 0.591 Se
0.099 0.831 0.409 Se
0.169 0.409 0.901 Se
0.169 0.591 0.099 Se
0.331 0.401 0.091 Se
0.331 0.599 0.909 Se
0.401 0.091 0.331 Se
0.401 0.909 0.669 Se
0.409 0.099 0.831 Se
0.409 0.901 0.169 Se
0.412 0.412 0.588 Se
0.412 0.588 0.412 Se
0.588 0.412 0.412 Se
0.588 0.588 0.588 Se
0.591 0.099 0.169 Se
0.591 0.901 0.831 Se
0.599 0.091 0.669 Se
0.599 0.909 0.331 Se
0.669 0.401 0.909 Se
0.669 0.599 0.091 Se
0.831 0.409 0.099 Se
0.831 0.591 0.901 Se
0.901 0.169 0.409 Se
0.901 0.831 0.591 Se
0.909 0.331 0.599 Se
0.909 0.669 0.401 Se
0.912 0.088 0.912 Se
0.912 0.912 0.088 Se
0.038 0.404 0.901 Cl
0.038 0.596 0.099 Cl
0.071 0.170 0.421 Cl
0.071 0.830 0.579 Cl
0.076 0.318 0.273 Cl
0.076 0.682 0.727 Cl
0.077 0.077 0.923 Cl
0.077 0.923 0.077 Cl
0.079 0.219 0.084 Cl
0.079 0.330 0.571 Cl
0.079 0.670 0.429 Cl
0.079 0.781 0.916 Cl
0.084 0.079 0.219 Cl
0.084 0.921 0.781 Cl
0.096 0.462 0.401 Cl
0.096 0.538 0.599 Cl
0.097 0.187 0.721 Cl
0.097 0.813 0.279 Cl
0.099 0.038 0.596 Cl
0.099 0.962 0.404 Cl
0.170 0.421 0.071 Cl
0.170 0.579 0.929 Cl
0.182 0.424 0.773 Cl
0.182 0.576 0.227 Cl
0.187 0.279 0.903 Cl
0.187 0.721 0.097 Cl
0.219 0.084 0.079 Cl
0.219 0.916 0.921 Cl
0.221 0.313 0.403 Cl
0.221 0.687 0.597 Cl
0.227 0.182 0.576 Cl
0.227 0.818 0.424 Cl
0.273 0.076 0.318 Cl
0.273 0.924 0.682 Cl
0.279 0.097 0.813 Cl
0.279 0.903 0.187 Cl
0.281 0.421 0.584 Cl
0.281 0.579 0.416 Cl
0.313 0.403 0.221 Cl
0.313 0.597 0.779 Cl
0.318 0.273 0.076 Cl
0.318 0.727 0.924 Cl
0.330 0.429 0.921 Cl
0.330 0.571 0.079 Cl
0.401 0.096 0.462 Cl
0.401 0.904 0.538 Cl
0.403 0.221 0.313 Cl
0.403 0.779 0.687 Cl
0.404 0.099 0.962 Cl
0.404 0.901 0.038 Cl
0.416 0.281 0.579 Cl
0.416 0.719 0.421 Cl
0.421 0.071 0.170 Cl
0.421 0.416 0.719 Cl
0.421 0.584 0.281 Cl
0.421 0.929 0.830 Cl
0.423 0.423 0.423 Cl
0.423 0.577 0.577 Cl
0.424 0.227 0.818 Cl
0.424 0.773 0.182 Cl
0.429 0.079 0.670 Cl
0.429 0.921 0.330 Cl
0.462 0.401 0.096 Cl
0.462 0.599 0.904 Cl
0.538 0.401 0.904 Cl
0.538 0.599 0.096 Cl
0.571 0.079 0.330 Cl
0.571 0.921 0.670 Cl
0.576 0.227 0.182 Cl
0.576 0.773 0.818 Cl
0.577 0.423 0.577 Cl
0.577 0.577 0.423 Cl
0.579 0.071 0.830 Cl
0.579 0.416 0.281 Cl
0.579 0.584 0.719 Cl
0.579 0.929 0.170 Cl
0.584 0.281 0.421 Cl
0.584 0.719 0.579 Cl
0.596 0.099 0.038 Cl
0.596 0.901 0.962 Cl
0.597 0.221 0.687 Cl
0.597 0.779 0.313 Cl
0.599 0.096 0.538 Cl
0.599 0.904 0.462 Cl
0.670 0.429 0.079 Cl
0.670 0.571 0.921 Cl
0.682 0.273 0.924 Cl
0.682 0.727 0.076 Cl
0.687 0.403 0.779 Cl
0.687 0.597 0.221 Cl
0.719 0.421 0.416 Cl
0.719 0.579 0.584 Cl
0.721 0.097 0.187 Cl
0.721 0.903 0.813 Cl
0.727 0.076 0.682 Cl
0.727 0.924 0.318 Cl
0.773 0.182 0.424 Cl
0.773 0.818 0.576 Cl
0.779 0.313 0.597 Cl
0.779 0.687 0.403 Cl
0.781 0.084 0.921 Cl
0.781 0.916 0.079 Cl
0.813 0.279 0.097 Cl
0.813 0.721 0.903 Cl
0.818 0.424 0.227 Cl
0.818 0.576 0.773 Cl
0.830 0.421 0.929 Cl
0.830 0.579 0.071 Cl
0.901 0.038 0.404 Cl
0.901 0.962 0.596 Cl
0.903 0.187 0.279 Cl
0.903 0.813 0.721 Cl
0.904 0.462 0.599 Cl
0.904 0.538 0.401 Cl
0.916 0.079 0.781 Cl
0.916 0.921 0.219 Cl
0.921 0.219 0.916 Cl
0.921 0.330 0.429 Cl
0.921 0.670 0.571 Cl
0.921 0.781 0.084 Cl
0.923 0.077 0.077 Cl
0.923 0.923 0.923 Cl
0.924 0.318 0.727 Cl
0.924 0.682 0.273 Cl
0.929 0.170 0.579 Cl
0.929 0.830 0.421 Cl
0.962 0.404 0.099 Cl
0.962 0.596 0.901 Cl


ii:
A plane-wave DFT calculation with PBE-GGA was carried out for a relaxed SeCl4 crystal.

```
SeCl4
1.0
8.732 -5.168 0.000
8.732 5.168 0.000
-7.252 0.000 14.202
Se Cl
8 32
Direct
0.236 0.759 0.616 Se
0.241 0.764 0.884 Se
0.342 0.390 0.186 Se
0.390 0.342 0.686 Se
0.610 0.658 0.314 Se
0.658 0.610 0.814 Se
0.759 0.236 0.116 Se
0.764 0.241 0.384 Se
0.021 0.973 0.628 Cl
0.027 0.979 0.872 Cl
0.138 0.616 0.194 Cl
0.138 0.623 0.692 Cl
0.140 0.638 0.472 Cl
0.149 0.648 0.926 Cl
0.252 0.287 0.035 Cl
0.263 0.280 0.243 Cl
0.280 0.263 0.743 Cl
0.287 0.252 0.535 Cl
0.352 0.851 0.574 Cl
0.362 0.860 0.028 Cl
0.377 0.862 0.808 Cl
0.384 0.862 0.306 Cl
0.491 0.505 0.134 Cl
0.495 0.509 0.366 Cl
0.505 0.491 0.634 Cl
0.509 0.495 0.866 Cl
0.616 0.138 0.694 Cl
0.623 0.138 0.192 Cl
0.638 0.140 0.972 Cl
0.648 0.149 0.426 Cl
0.713 0.748 0.465 Cl
0.720 0.737 0.257 Cl
0.737 0.720 0.757 Cl
0.748 0.713 0.965 Cl
0.851 0.352 0.074 Cl
0.860 0.362 0.528 Cl
0.862 0.377 0.308 Cl
0.862 0.384 0.806 Cl
0.973 0.021 0.128 Cl
0.979 0.027 0.372 Cl
```


In meV per atom, relative to the most stable structure: i 14; ii 0.